The following is a PBE with a Hubbard U calculation of a geometry-optimized LiMnBO3 structure, from Materials Project.

```
LiMnBO3
1.0
-5.362 -2.012 -0.248
2.645 -6.727 -2.606
-1.067 -2.705 5.900
Li Mn B O
4 4 4 12
Direct
0.094 0.282 0.759
0.406 0.782 0.741
0.594 0.218 0.259
0.906 0.718 0.241
0.276 0.518 0.401
0.776 0.982 0.901
0.224 0.018 0.099
0.724 0.482 0.599
0.065 0.330 0.176
0.435 0.830 0.324
0.565 0.170 0.676
0.935 0.670 0.824
0.957 0.207 0.074
0.543 0.707 0.426
0.457 0.293 0.574
0.043 0.793 0.926
0.060 0.530 0.715
0.560 0.970 0.215
0.440 0.030 0.785
0.940 0.470 0.285
0.304 0.307 0.180
0.196 0.807 0.320
0.804 0.193 0.680
0.696 0.693 0.820
```

Calculated values
formation energy from the elements = -2.420 eV/atom
theoretical density = 2.86 g cm⁻³
energy with MP2020 corrections = -7.85 eV/atom
crystal system = monoclinic
SG = P2_1/c, No. 14
calculated volume = 280 Å³ per cell

***

The following is a PBE with a Hubbard U calculation of a geometry-optimized CaVNiP2O9 structure, from Materials Project.

```
CaVNiP2O9
1.0
6.471 0.000 0.000
0.000 7.492 0.000
0.000 0.000 14.264
Ca V Ni P O
4 4 4 8 36
Direct
0.750 0.880 0.780
0.750 0.620 0.280
0.250 0.120 0.220
0.250 0.380 0.720
0.750 0.346 0.882
0.250 0.654 0.118
0.250 0.846 0.618
0.750 0.154 0.382
0.500 0.000 0.000
0.500 0.500 0.500
0.000 0.500 0.500
0.000 0.000 0.000
0.250 0.351 0.938
0.750 0.649 0.062
0.750 0.851 0.562
0.250 0.149 0.438
0.750 0.386 0.692
0.250 0.614 0.308
0.250 0.886 0.808
0.750 0.114 0.192
0.052 0.607 0.368
0.552 0.393 0.632
0.948 0.107 0.132
0.448 0.893 0.868
0.948 0.393 0.632
0.448 0.607 0.368
0.052 0.893 0.868
0.552 0.107 0.132
0.250 0.334 0.484
0.750 0.666 0.516
0.750 0.834 0.016
0.250 0.166 0.984
0.750 0.143 0.939
0.250 0.857 0.061
0.250 0.643 0.561
0.750 0.357 0.439
0.750 0.213 0.755
0.250 0.787 0.245
0.250 0.713 0.745
0.750 0.287 0.255
0.438 0.131 0.370
0.938 0.869 0.630
0.562 0.631 0.130
0.062 0.369 0.870
0.562 0.869 0.630
0.062 0.131 0.370
0.438 0.369 0.870
0.938 0.631 0.130
0.750 0.965 0.270
0.250 0.035 0.730
0.250 0.465 0.230
0.750 0.535 0.770
0.750 0.993 0.486
0.250 0.007 0.514
0.250 0.493 0.014
0.750 0.507 0.986
```

Calculated values
formation energy from the elements = -2.706 eV/atom
theoretical density = 3.42 g cm⁻³
energy with MP2020 corrections = -7.87 eV/atom
crystal system = orthorhombic
SG = Pnma, No. 62
calculated volume = 692 Å³ per cell

***

The following is a PBE with a Hubbard U calculation of a geometry-optimized CrPtO2 structure, from Materials Project.

```
CrPtO2
1.0
-4.319 1.677 2.303
3.157 -3.353 4.424
2.806 4.897 1.709
Cr Pt O
4 4 8
Direct
0.500 0.500 0.498
0.000 0.500 0.752
0.500 0.500 0.998
0.000 0.500 0.252
0.000 0.000 0.501
0.500 0.000 0.749
0.000 0.000 0.001
0.500 0.000 0.249
0.111 0.331 0.501
0.611 0.331 0.748
0.111 0.331 0.001
0.611 0.331 0.248
0.889 0.669 0.502
0.389 0.669 0.749
0.889 0.669 0.002
0.389 0.669 0.249
```

Calculated values
formation energy from the elements = -1.655 eV/atom
theoretical density = 9.89 g cm⁻³
energy with MP2020 corrections = -8.06 eV/atom
calculated volume = 187 Å³ per cell